{
  "formula": "NdCoGe2",
  "functional": "meta-GGA r2SCAN",
  "state": "relaxed",
  "spacegroup": "No. 63",
  "ef_ev_per_atom": -0.655,
  "crystal_system": "orthorhombic",
  "cell": [[2.125, -8.278, 0.000], [2.125, 8.278, 0.000], [0.000, 0.000, 4.192]],
  "species": ["Nd", "Ge", "Ge", "Co", "Ge", "Co", "Ge", "Nd"],
  "fractional_positions": [[0.109, 0.891, 0.250], [0.454, 0.546, 0.250], [0.546, 0.454, 0.750], [0.683, 0.317, 0.750], [0.250, 0.750, 0.750], [0.317, 0.683, 0.250], [0.750, 0.250, 0.250], [0.891, 0.109, 0.750]]
}